VASP calculation (PBE) on a geometry-optimized SrMg3 structure.

Lattice parameters (Å, degrees): 4.9425 4.9425 4.9425 90.00 90.00 90.00
Fractional positions:
Sr1 0.0000 0.0000 0.0000
Mg1 0.0000 0.5000 0.5000
Mg2 0.5000 0.0000 0.5000
Mg3 0.5000 0.5000 0.0000

Calculated values
Formation energy from the elements = 0.02 eV per atom
Space-group type = No. 221